An optimized crystal structure of KSiH3. Source: the Materials Project, functional PBE-GGA.

abc: 5.4213 6.8997 8.8900
angles: 90.00 90.00 90.00
Last column: nearest neighbours and their distance in Å.
Atoms (fractional coordinates):
H (0.7500, 0.1927, 0.6218)  1 Si 1.54
H (0.5430, 0.3002, 0.4185)  1 Si 1.56
Si (0.7500, 0.3502, 0.9515)  3 H 1.54-1.56
K (0.7500, 0.6556, 0.3155)  9 H 2.80-2.96
K (0.2500, 0.1556, 0.1845)  9 H 2.80-2.96
H (0.5430, 0.1998, 0.9185)  1 Si 1.56
H (0.9570, 0.3002, 0.4185)  1 Si 1.56
Si (0.2500, 0.8502, 0.5485)  3 H 1.54-1.56
H (0.7500, 0.3073, 0.1218)  1 Si 1.54
H (0.0430, 0.8002, 0.0815)  1 Si 1.56
K (0.7500, 0.8444, 0.8155)  9 H 2.80-2.96
H (0.0430, 0.6998, 0.5815)  1 Si 1.56
H (0.2500, 0.8073, 0.3782)  1 Si 1.54
H (0.4570, 0.8002, 0.0815)  1 Si 1.56
Si (0.7500, 0.1498, 0.4515)  3 H 1.54-1.56
H (0.4570, 0.6998, 0.5815)  1 Si 1.56
H (0.9570, 0.1998, 0.9185)  1 Si 1.56
K (0.2500, 0.3444, 0.6845)  9 H 2.80-2.96
H (0.2500, 0.6927, 0.8782)  1 Si 1.54
Si (0.2500, 0.6498, 0.0485)  3 H 1.54-1.56

Computed properties:
ΔE_f in meV per atom: -237


An optimized crystal structure of FeCoH18N6Cl6. Source: the Materials Project, functional PBE-GGA.

abc: 11.3997 11.3997 11.3997
angles: 90.00 90.00 90.00
Last column: nearest neighbours and their distance in Å.
Atoms (fractional coordinates):
N (0.0985, 0.8695, 0.5585)  3 H 1.03
H (0.0993, 0.8669, 0.6490)  1 N 1.03
H (0.0993, 0.6331, 0.1490)  1 N 1.03
Cl (0.6478, 0.5707, 0.8656)  2 H 2.34-2.38, 1 Fe 2.42
H (0.1848, 0.6256, 0.0312)  1 N 1.03
Cl (0.8656, 0.8522, 0.0707)  2 H 2.34-2.38, 1 Fe 2.42
H (0.7883, 0.5317, 0.0697)  1 N 1.03
H (0.8669, 0.6490, 0.0993)  1 N 1.03
N (0.4015, 0.3695, 0.5585)  3 H 1.03
Cl (0.8656, 0.6478, 0.5707)  2 H 2.34-2.38, 1 Fe 2.42
H (0.3744, 0.5312, 0.3152)  1 N 1.03
H (0.1848, 0.8744, 0.5312)  1 N 1.03
H (0.6848, 0.8744, 0.9688)  1 N 1.03
H (0.3510, 0.5993, 0.6331)  1 N 1.03
Cl (0.4293, 0.1344, 0.3522)  2 H 2.34-2.38, 1 Fe 2.42
H (0.0312, 0.1848, 0.6256)  1 N 1.03
Co (0.5000, 0.5000, 0.5000)  6 N 1.98
H (0.9303, 0.2117, 0.4683)  1 N 1.03
H (0.9303, 0.2883, 0.9683)  1 N 1.03
H (0.6331, 0.3510, 0.5993)  1 N 1.03
N (0.4415, 0.5985, 0.6305)  3 H 1.03
H (0.8152, 0.3744, 0.9688)  1 N 1.03
Cl (0.9293, 0.1344, 0.1478)  2 H 2.34-2.38, 1 Fe 2.42
N (0.5585, 0.4015, 0.3695)  3 H 1.03
Cl (0.6344, 0.1478, 0.5707)  2 H 2.34-2.38, 1 Fe 2.42
Co (0.5000, 0.0000, 0.0000)  6 N 1.98
Fe (0.5000, 0.0000, 0.5000)  6 Cl 2.42
H (0.5312, 0.1848, 0.8744)  1 N 1.03
Cl (0.3656, 0.8522, 0.4293)  2 H 2.34-2.38, 1 Fe 2.42
H (0.3510, 0.9007, 0.1331)  1 N 1.03
Cl (0.0707, 0.8656, 0.8522)  2 H 2.34-2.38, 1 Fe 2.42
N (0.9415, 0.9015, 0.3695)  3 H 1.03
H (0.0317, 0.0697, 0.7117)  1 N 1.03
H (0.0317, 0.4303, 0.2117)  1 N 1.03
Cl (0.1344, 0.3522, 0.4293)  2 H 2.34-2.38, 1 Fe 2.42
H (0.3152, 0.1256, 0.0312)  1 N 1.03
H (0.8744, 0.9688, 0.6848)  1 N 1.03
H (0.9007, 0.3669, 0.8510)  1 N 1.03
H (0.6256, 0.4688, 0.6848)  1 N 1.03
H (0.1490, 0.4007, 0.1331)  1 N 1.03
N (0.1305, 0.4415, 0.9015)  3 H 1.03
N (0.6305, 0.0585, 0.0985)  3 H 1.03
Cl (0.3522, 0.4293, 0.1344)  2 H 2.34-2.38, 1 Fe 2.42
H (0.0312, 0.3152, 0.1256)  1 N 1.03
Cl (0.8522, 0.4293, 0.3656)  2 H 2.34-2.38, 1 Fe 2.42
N (0.5985, 0.6305, 0.4415)  3 H 1.03
N (0.3695, 0.5585, 0.4015)  3 H 1.03
Cl (0.6344, 0.3522, 0.0707)  2 H 2.34-2.38, 1 Fe 2.42
Fe (0.0000, 0.5000, 0.5000)  6 Cl 2.42
Cl (0.1344, 0.1478, 0.9293)  2 H 2.34-2.38, 1 Fe 2.42
N (0.4015, 0.1305, 0.0585)  3 H 1.03
H (0.3669, 0.6490, 0.4007)  1 N 1.03
H (0.5312, 0.3152, 0.3744)  1 N 1.03
H (0.2117, 0.4683, 0.9303)  1 N 1.03
Cl (0.5707, 0.8656, 0.6478)  2 H 2.34-2.38, 1 Fe 2.42
Cl (0.5707, 0.6344, 0.1478)  2 H 2.34-2.38, 1 Fe 2.42
H (0.4688, 0.8152, 0.1256)  1 N 1.03
H (0.2883, 0.9683, 0.9303)  1 N 1.03
H (0.1331, 0.3510, 0.9007)  1 N 1.03
Cl (0.1478, 0.9293, 0.1344)  2 H 2.34-2.38, 1 Fe 2.42
H (0.4683, 0.9303, 0.2117)  1 N 1.03
H (0.5317, 0.0697, 0.7883)  1 N 1.03
H (0.6490, 0.0993, 0.8669)  1 N 1.03
Cl (0.1478, 0.5707, 0.6344)  2 H 2.34-2.38, 1 Fe 2.42
H (0.6331, 0.1490, 0.0993)  1 N 1.03
Cl (0.8522, 0.0707, 0.8656)  2 H 2.34-2.38, 1 Fe 2.42
H (0.0697, 0.7117, 0.0317)  1 N 1.03
N (0.6305, 0.4415, 0.5985)  3 H 1.03
H (0.8669, 0.8510, 0.5993)  1 N 1.03
H (0.2883, 0.5317, 0.4303)  1 N 1.03
H (0.5697, 0.7117, 0.4683)  1 N 1.03
N (0.4415, 0.9015, 0.1305)  3 H 1.03
Cl (0.0707, 0.6344, 0.3522)  2 H 2.34-2.38, 1 Fe 2.42
H (0.3152, 0.3744, 0.5312)  1 N 1.03
H (0.3744, 0.9688, 0.8152)  1 N 1.03
H (0.6848, 0.6256, 0.4688)  1 N 1.03
N (0.1305, 0.0585, 0.4015)  3 H 1.03
H (0.9688, 0.6848, 0.8744)  1 N 1.03
Cl (0.6478, 0.9293, 0.3656)  2 H 2.34-2.38, 1 Fe 2.42
H (0.7117, 0.4683, 0.5697)  1 N 1.03
N (0.5985, 0.8695, 0.9415)  3 H 1.03
N (0.0585, 0.0985, 0.6305)  3 H 1.03
H (0.8510, 0.9007, 0.3669)  1 N 1.03
H (0.1256, 0.4688, 0.8152)  1 N 1.03
N (0.3695, 0.9415, 0.9015)  3 H 1.03
N (0.8695, 0.5585, 0.0985)  3 H 1.03
H (0.8510, 0.5993, 0.8669)  1 N 1.03
Cl (0.4293, 0.3656, 0.8522)  2 H 2.34-2.38, 1 Fe 2.42
Co (0.0000, 0.5000, 0.0000)  6 N 1.98
H (0.4007, 0.3669, 0.6490)  1 N 1.03
H (0.6490, 0.4007, 0.3669)  1 N 1.03
H (0.5317, 0.4303, 0.2883)  1 N 1.03
H (0.1331, 0.1490, 0.4007)  1 N 1.03
Cl (0.3656, 0.6478, 0.9293)  2 H 2.34-2.38, 1 Fe 2.42
H (0.9683, 0.9303, 0.2883)  1 N 1.03
H (0.4688, 0.6848, 0.6256)  1 N 1.03
H (0.4303, 0.2117, 0.0317)  1 N 1.03
H (0.7883, 0.9683, 0.5697)  1 N 1.03
N (0.5585, 0.0985, 0.8695)  3 H 1.03
H (0.7117, 0.0317, 0.0697)  1 N 1.03
H (0.1490, 0.0993, 0.6331)  1 N 1.03
Fe (0.5000, 0.5000, 0.0000)  6 Cl 2.42
H (0.1256, 0.0312, 0.3152)  1 N 1.03
Co (0.0000, 0.0000, 0.5000)  6 N 1.98
H (0.9683, 0.5697, 0.7883)  1 N 1.03
H (0.6256, 0.0312, 0.1848)  1 N 1.03
H (0.4303, 0.2883, 0.5317)  1 N 1.03
H (0.5993, 0.6331, 0.3510)  1 N 1.03
H (0.9007, 0.1331, 0.3510)  1 N 1.03
N (0.8695, 0.9415, 0.5985)  3 H 1.03
Cl (0.3522, 0.0707, 0.6344)  2 H 2.34-2.38, 1 Fe 2.42
H (0.9688, 0.8152, 0.3744)  1 N 1.03
H (0.5697, 0.7883, 0.9683)  1 N 1.03
H (0.8152, 0.1256, 0.4688)  1 N 1.03
Fe (0.0000, 0.0000, 0.0000)  6 Cl 2.42
H (0.4007, 0.1331, 0.1490)  1 N 1.03
Cl (0.9293, 0.3656, 0.6478)  2 H 2.34-2.38, 1 Fe 2.42
N (0.0585, 0.4015, 0.1305)  3 H 1.03
H (0.2117, 0.0317, 0.4303)  1 N 1.03
N (0.9015, 0.1305, 0.4415)  3 H 1.03
H (0.4683, 0.5697, 0.7117)  1 N 1.03
H (0.3669, 0.8510, 0.9007)  1 N 1.03
H (0.5993, 0.8669, 0.8510)  1 N 1.03
H (0.8744, 0.5312, 0.1848)  1 N 1.03
N (0.9015, 0.3695, 0.9415)  3 H 1.03
N (0.0985, 0.6305, 0.0585)  3 H 1.03
N (0.9415, 0.5985, 0.8695)  3 H 1.03
H (0.0697, 0.7883, 0.5317)  1 N 1.03

Computed properties:
ΔE_f in meV per atom: -671


An optimized crystal structure of P2Pb3O8. Source: the Materials Project, functional PBE-GGA.

abc: 7.6124 7.6124 9.4919
angles: 79.11 79.11 46.03
Last column: nearest neighbours and their distance in Å.
Atoms (fractional coordinates):
P (0.8499, 0.3486, 0.5551)  4 O 1.55-1.57
O (0.0941, 0.1629, 0.6332)  1 P 1.57
O (0.3981, 0.3173, 0.8834)  1 P 1.55
O (0.7399, 0.2859, 0.9228)  1 P 1.55
O (0.2859, 0.7399, 0.4228)  1 P 1.55
Pb (0.2982, 0.7018, 0.7500)  6 O 2.57-2.75
O (0.6019, 0.6827, 0.1166)  1 P 1.55
O (0.6827, 0.6019, 0.6166)  1 P 1.55
Pb (0.9969, 0.6453, 0.1519)  3 O 2.36-2.44
O (0.9059, 0.8371, 0.3668)  1 P 1.57
O (0.1629, 0.0941, 0.1332)  1 P 1.57
Pb (0.7018, 0.2982, 0.2500)  6 O 2.57-2.75
O (0.7141, 0.2601, 0.5772)  1 P 1.55
O (0.9229, 0.3602, 0.3898)  1 P 1.57
O (0.6398, 0.0771, 0.1102)  1 P 1.57
O (0.8371, 0.9059, 0.8668)  1 P 1.57
P (0.3486, 0.8499, 0.0551)  4 O 1.55-1.57
O (0.0771, 0.6398, 0.6102)  1 P 1.57
Pb (0.3547, 0.0031, 0.3481)  3 O 2.36-2.44
P (0.1501, 0.6514, 0.4449)  4 O 1.55-1.57
O (0.3602, 0.9229, 0.8898)  1 P 1.57
O (0.2601, 0.7141, 0.0772)  1 P 1.55
O (0.3173, 0.3981, 0.3834)  1 P 1.55
Pb (0.0031, 0.3547, 0.8481)  3 O 2.36-2.44
Pb (0.6453, 0.9969, 0.6519)  3 O 2.36-2.44
P (0.6514, 0.1501, 0.9449)  4 O 1.55-1.57

Computed properties:
Distance to the lowest polymorph of the same formula in meV/atom: 18.8
ΔE_f in meV per atom: -2317


An optimized crystal structure of YBi15O24. Source: the Materials Project, functional PBE-GGA.

abc: 7.7682 7.9348 11.3664
angles: 89.11 90.00 90.00
Last column: nearest neighbours and their distance in Å.
Atoms (fractional coordinates):
Bi (0.0000, 0.7397, 0.3801)  3 O 2.15-2.22
O (0.2035, 0.8048, 0.7615)  1 Bi 2.16, 1 Y 2.24
O (0.7956, 0.2050, 0.2495)  2 Bi 2.21-2.22
Y (0.0000, 0.7108, 0.8856)  3 O 2.14-2.24
Bi (0.5000, 0.7688, 0.8652)  3 O 2.14-2.33
O (0.5000, 0.9914, 0.7057)  2 Bi 2.14
O (0.7965, 0.8048, 0.7615)  1 Bi 2.16, 1 Y 2.24
Bi (0.0000, 0.2592, 0.3802)  3 O 2.15-2.22
Bi (0.7458, 0.0047, 0.1208)  3 O 2.13-2.21
O (0.7037, 0.3033, 0.9988)  2 Bi 2.21-2.22
O (0.2963, 0.3033, 0.9988)  2 Bi 2.21-2.22
O (0.5000, 0.0030, 0.9570)  2 Bi 2.14-2.15
Bi (0.2454, 0.5042, 0.1275)  3 O 2.13-2.22
Bi (0.7546, 0.5042, 0.1275)  3 O 2.13-2.22
O (0.2063, 0.7983, 0.2501)  2 Bi 2.21-2.22
Bi (0.2518, 0.9892, 0.6241)  3 O 2.14-2.22
O (0.0000, 0.4834, 0.7874)  1 Bi 2.11, 1 Y 2.14
Bi (0.7563, 0.4936, 0.6292)  3 O 2.14-2.23
O (0.0000, 0.5014, 0.2921)  2 Bi 2.15
O (0.7937, 0.7983, 0.2501)  2 Bi 2.21-2.22
O (0.5000, 0.0012, 0.4556)  2 Bi 2.14
O (0.2085, 0.1968, 0.7493)  2 Bi 2.20-2.22
O (0.0000, 0.5041, 0.0434)  2 Bi 2.13
Bi (0.2542, 0.0047, 0.1208)  3 O 2.13-2.21
O (0.2761, 0.7114, 0.9955)  2 Bi 2.22-2.33, 1 Y 2.48
O (0.7050, 0.3019, 0.4982)  2 Bi 2.18-2.22
O (0.2044, 0.2050, 0.2495)  2 Bi 2.21-2.22
Bi (0.2437, 0.4936, 0.6292)  3 O 2.14-2.23
O (0.5000, 0.0006, 0.2044)  2 Bi 2.13
O (0.2952, 0.7063, 0.5038)  2 Bi 2.23
Bi (0.7482, 0.9892, 0.6241)  3 O 2.14-2.22
O (0.2950, 0.3019, 0.4982)  2 Bi 2.18-2.22
O (0.7915, 0.1968, 0.7493)  2 Bi 2.20-2.22
Bi (0.5000, 0.2450, 0.8694)  3 O 2.15-2.21
Bi (0.5000, 0.7620, 0.3713)  3 O 2.14-2.23
O (0.7048, 0.7063, 0.5038)  2 Bi 2.23
O (0.7239, 0.7114, 0.9955)  2 Bi 2.22-2.33, 1 Y 2.48
Bi (0.0000, 0.2461, 0.8747)  3 O 2.11-2.20
Bi (0.5000, 0.2430, 0.3696)  3 O 2.14-2.22
O (0.0000, 0.5012, 0.5417)  2 Bi 2.14

Computed properties:
ΔE_f in meV per atom: -1737
Total magnetization in μB/f.u.: 0.00


An optimized crystal structure of MoS2. Source: the Materials Project, functional PBE-GGA.

abc: 3.1903 3.1903 17.4395
angles: 90.00 90.00 120.00
Last column: nearest neighbours and their distance in Å.
Atoms (fractional coordinates):
S (0.3333, 0.6667, 0.0897)  3 Mo 2.42
Mo (0.0000, 0.0000, 0.0000)  6 S 2.42
S (0.3333, 0.6667, 0.9103)  3 Mo 2.42

Computed properties:
ΔE_f in meV per atom: -1200
Largest piezoelectric modulus in C/m2: 0.30


An optimized crystal structure of ThPd3. Source: the Materials Project, functional PBE-GGA.

abc: 5.9198 5.9198 9.9747
angles: 90.00 90.00 120.00
Last column: nearest neighbours and their distance in Å.
Atoms (fractional coordinates):
Pd (0.6535, 0.8267, 0.7500)  8 Pd 2.84-3.08, 4 Th 2.96-3.06
Pd (0.5000, 0.5000, 0.5000)  8 Pd 2.96-3.00, 4 Th 2.96-3.02
Th (0.6667, 0.3333, 0.7500)  12 Pd 2.96-3.02
Th (0.3333, 0.6667, 0.2500)  12 Pd 2.96-3.02
Th (0.0000, 0.0000, 0.5000)  12 Pd 2.96-3.06
Pd (0.1733, 0.3465, 0.7500)  8 Pd 2.84-3.08, 4 Th 2.96-3.06
Pd (0.0000, 0.5000, 0.5000)  4 Th 2.96-3.02, 8 Pd 2.96-3.00
Pd (0.0000, 0.5000, 0.0000)  4 Th 2.96-3.02, 8 Pd 2.96-3.00
Pd (0.5000, 0.5000, 0.0000)  8 Pd 2.96-3.00, 4 Th 2.96-3.02
Pd (0.8267, 0.1733, 0.2500)  8 Pd 2.84-3.08, 4 Th 2.96-3.06
Th (0.0000, 0.0000, 0.0000)  12 Pd 2.96-3.06
Pd (0.5000, 0.0000, 0.5000)  4 Th 2.96-3.02, 8 Pd 2.96-3.00
Pd (0.5000, 0.0000, 0.0000)  4 Th 2.96-3.02, 8 Pd 2.96-3.00
Pd (0.3465, 0.1733, 0.2500)  8 Pd 2.84-3.08, 4 Th 2.96-3.06
Pd (0.8267, 0.6535, 0.2500)  8 Pd 2.84-3.08, 4 Th 2.96-3.06
Pd (0.1733, 0.8267, 0.7500)  8 Pd 2.84-3.08, 4 Th 2.96-3.06

Computed properties:
ΔE_f in meV per atom: -951